The following is a DFT calculation (PBE-GGA) of a geometry-optimized Rh structure.

The structure in POSCAR format:
```
Rh
1.0
1.171 -1.821 1.643
-1.189 -2.407 0.427
1.096 -2.260 -1.038
Rh
1
Direct
0.000 0.000 0.000 Rh
```

Summary:
Energy above the lowest structure with this stoichiometry = 0 meV per atom
DFT total energy = -7.364 eV per atom
Formation enthalpy at 0 K = 0.0000 eV/atom

---

The following is a DFT calculation (PBE-GGA) of a geometry-optimized LaC2 structure.

The structure in POSCAR format:
```
LaC2
1.0
-1.969 1.969 3.295
1.969 -1.969 3.295
1.969 1.969 -3.295
C La
2 1
Direct
0.599 0.599 0.000 C
0.401 0.401 0.000 C
0.000 0.000 0.000 La
```

Summary:
Energy above the lowest structure with this stoichiometry = 0 meV per atom
DFT total energy = -7.958 eV per atom
Formation enthalpy at 0 K = -0.1602 eV/atom

---

The following is a DFT calculation (PBE-GGA) of a geometry-optimized Ag2S structure.

The structure in POSCAR format:
```
Ag2S
1.0
-4.784 -3.330 -2.891
-1.500 -1.155 3.813
-3.041 3.461 1.045
Ag S
4 2
Direct
0.869 0.140 0.070 Ag
0.369 0.860 0.930 Ag
0.502 0.470 0.522 Ag
0.002 0.530 0.478 Ag
0.254 0.285 0.211 S
0.754 0.715 0.789 S
```

Summary:
Piezoelectric modulus e_max = 2.87 C/m²
Total moment = 0.0 μB/f.u.
DFT total energy = -3.238 eV per atom
Formation enthalpy at 0 K = -0.1386 eV/atom